Computed, not measured: an optimized crystal structure of Fe5O7F3 at the GGA+U level of DFT.

For the MP2020-corrected energy, the calculation gives -217.15 eV per cell.

Cell: 4.6568 4.6566 15.9142 Å, 73.03 90.00 90.00°
Last column: nearest neighbours and their distance in Å.
Element x y z (fractional)
F  0.9596  0.8973  0.3975  3 Fe 2.06-2.11
F  0.4528  0.0998  0.1009  3 Fe 2.05-2.09
F  0.4590  0.8944  0.3018  3 Fe 2.10-2.11
F  0.5410  0.8944  0.8018  3 Fe 2.10-2.11
F  0.0404  0.8973  0.8975  3 Fe 2.06-2.11
F  0.5472  0.0998  0.6009  3 Fe 2.05-2.09
O  0.4475  0.6908  0.5012  3 Fe 1.97-1.99
O  0.0655  0.7199  0.0962  3 Fe 1.90-1.95
O  0.9515  0.1144  0.1978  3 Fe 1.96-2.00
O  0.4402  0.5083  0.6962  3 Fe 1.95-2.02
O  0.9264  0.5052  0.8033  3 Fe 1.92-1.95
O  0.0515  0.2972  0.5030  3 Fe 1.95-2.00
O  0.9485  0.2972  0.0030  3 Fe 1.95-2.00
O  0.9345  0.7199  0.5962  3 Fe 1.90-1.95
O  0.5739  0.2782  0.4009  3 Fe 1.91-1.98
O  0.5525  0.6908  0.0012  3 Fe 1.97-1.99
O  0.0736  0.5052  0.3033  3 Fe 1.92-1.95
O  0.0485  0.1144  0.6978  3 Fe 1.96-2.00
O  0.4261  0.2782  0.9009  3 Fe 1.91-1.98
O  0.5598  0.5083  0.1962  3 Fe 1.95-2.02
Fe  0.7304  0.5589  0.9063  4 O 1.95-1.97, 2 F 2.11
Fe  0.2324  0.7869  0.2008  4 O 1.92-2.02, 2 F 2.09-2.10
Fe  0.2304  0.4193  0.6004  5 O 1.95-1.99, 1 F 2.09
Fe  0.2696  0.5589  0.4063  4 O 1.95-1.97, 2 F 2.11
Fe  0.7676  0.7869  0.7008  4 O 1.92-2.02, 2 F 2.09-2.10
Fe  0.7696  0.4193  0.1004  5 O 1.95-1.99, 1 F 2.09
Fe  0.2509  0.9963  0.9993  4 O 1.90-2.00, 2 F 2.05-2.06
Fe  0.7491  0.9963  0.4993  4 O 1.90-2.00, 2 F 2.05-2.06
Fe  0.2359  0.2331  0.7943  4 O 1.95-1.98, 2 F 2.10-2.11
Fe  0.7641  0.2331  0.2943  4 O 1.95-1.98, 2 F 2.10-2.11

Computed, not measured: an optimized crystal structure of LiVSiO4 at the GGA+U level of DFT.

For the MP2020-corrected energy, the calculation gives -221.99 eV per cell. Its largest piezoelectric modulus is 0.434 C/m².

Cell: 4.8553 5.1675 16.4853 Å, 86.27 89.99 61.97°
Last column: nearest neighbours and their distance in Å.
Element x y z (fractional)
V  0.5000  0.0000  0.5001  4 O 1.94
V  0.2500  0.5001  0.7500  4 O 1.94
V  0.7500  0.5000  0.2499  4 O 1.94
V  0.0001  0.9999  0.0000  4 O 1.94
O  0.9012  0.7824  0.2644  1 Si 1.65
O  0.8383  0.9563  0.1049  1 Si 1.65
O  0.3521  0.6635  0.9585  1 Si 1.65
O  0.5882  0.4560  0.3548  1 Si 1.65
O  0.4081  0.5982  0.1725  1 Si 1.65
O  0.6582  0.0983  0.9223  1 Si 1.65
O  0.1025  0.1631  0.2088  1 Si 1.65
O  0.8521  0.6634  0.4584  1 Si 1.65
O  0.3380  0.9559  0.6049  1 Si 1.65
O  0.1585  0.0984  0.4223  1 Si 1.65
O  0.9082  0.5985  0.6722  1 Si 1.65
O  0.0881  0.4561  0.8548  1 Si 1.65
O  0.6019  0.1635  0.7085  1 Si 1.65
O  0.4015  0.7821  0.7642  1 Si 1.65
O  0.6514  0.2822  0.5141  1 Si 1.65
O  0.1515  0.2822  0.0143  1 Si 1.65
Si  0.5624  0.8750  0.6875  4 O 1.65
Si  0.8126  0.3749  0.4374  4 O 1.65
Si  0.3125  0.3750  0.9375  4 O 1.65
Si  0.0625  0.8751  0.1876  4 O 1.65
Li  0.8750  0.2500  0.6250  4 O 2.08
Li  0.6250  0.7500  0.8750  4 O 2.08
Li  0.3751  0.2499  0.1251  4 O 2.08
Li  0.1251  0.7500  0.3750  4 O 2.08

Computed, not measured: an optimized crystal structure of K2Gd2MgMo4O16 at the GGA+U level of DFT.

For the MP2020-corrected energy, the calculation gives -216.01 eV per cell.

Cell: 7.8018 7.6759 7.9301 Å, 117.71 122.99 88.07°
Last column: nearest neighbours and their distance in Å.
Element x y z (fractional)
O  0.6507  0.1957  0.6713  1 Mo 1.87
O  0.6653  0.1931  0.9971  2 Mo 1.98-2.13, 1 Mg 2.15
O  0.3569  0.7959  0.3324  1 Mo 1.81
O  0.6569  0.5719  0.0162  1 Mo 1.93
O  0.3734  0.4243  0.0043  1 Mo 1.96
O  0.9387  0.0067  0.1239  1 Mo 1.94, 1 Mg 2.16
O  0.0482  0.6418  0.4777  1 Mo 1.95
O  0.9595  0.6057  0.8741  1 Mo 1.88
O  0.2402  0.0798  0.6250  1 Mo 1.89
O  0.9226  0.3562  0.4960  1 Mo 1.93
O  0.0487  0.9890  0.8319  1 Mo 1.93, 1 Mg 2.03
O  0.0529  0.3732  0.1203  1 Mo 1.85
O  0.3303  0.7670  0.9712  1 Mo 1.86
O  0.7497  0.9314  0.3714  1 Mo 1.85
O  0.6903  0.6903  0.5159  2 Mo 2.01-2.14, 1 Mg 2.14
O  0.3110  0.3562  0.5439  2 Mo 1.93-2.05
Mo  0.5104  0.7224  0.2157  4 O 1.81-1.96
Mo  0.9977  0.6974  0.7111  4 O 1.88-2.01
Mo  0.4861  0.2884  0.7803  5 O 1.87-1.98
Mo  0.9966  0.3036  0.2839  4 O 1.85-2.05
Gd  0.0127  0.2513  0.7517  8 O 2.28-2.54
Gd  0.0101  0.7724  0.2415  6 O 2.31-2.39
K  0.4754  0.2255  0.2532  8 O 2.81-3.09
K  0.4742  0.7423  0.7425  4 O 2.54-2.76, 1 Mg 2.81
Mg  0.7707  0.9977  0.7947  5 O 2.03-2.16

- MP2020-corrected energy of number 2 (LiVSiO4)?
  -221.99 eV per cell

Repeat the first record exactly.
Computed, not measured: an optimized crystal structure of Fe5O7F3 at the GGA+U level of DFT.

For the MP2020-corrected energy, the calculation gives -217.15 eV per cell.

Cell: 4.6568 4.6566 15.9142 Å, 73.03 90.00 90.00°
Last column: nearest neighbours and their distance in Å.
Element x y z (fractional)
F  0.9596  0.8973  0.3975  3 Fe 2.06-2.11
F  0.4528  0.0998  0.1009  3 Fe 2.05-2.09
F  0.4590  0.8944  0.3018  3 Fe 2.10-2.11
F  0.5410  0.8944  0.8018  3 Fe 2.10-2.11
F  0.0404  0.8973  0.8975  3 Fe 2.06-2.11
F  0.5472  0.0998  0.6009  3 Fe 2.05-2.09
O  0.4475  0.6908  0.5012  3 Fe 1.97-1.99
O  0.0655  0.7199  0.0962  3 Fe 1.90-1.95
O  0.9515  0.1144  0.1978  3 Fe 1.96-2.00
O  0.4402  0.5083  0.6962  3 Fe 1.95-2.02
O  0.9264  0.5052  0.8033  3 Fe 1.92-1.95
O  0.0515  0.2972  0.5030  3 Fe 1.95-2.00
O  0.9485  0.2972  0.0030  3 Fe 1.95-2.00
O  0.9345  0.7199  0.5962  3 Fe 1.90-1.95
O  0.5739  0.2782  0.4009  3 Fe 1.91-1.98
O  0.5525  0.6908  0.0012  3 Fe 1.97-1.99
O  0.0736  0.5052  0.3033  3 Fe 1.92-1.95
O  0.0485  0.1144  0.6978  3 Fe 1.96-2.00
O  0.4261  0.2782  0.9009  3 Fe 1.91-1.98
O  0.5598  0.5083  0.1962  3 Fe 1.95-2.02
Fe  0.7304  0.5589  0.9063  4 O 1.95-1.97, 2 F 2.11
Fe  0.2324  0.7869  0.2008  4 O 1.92-2.02, 2 F 2.09-2.10
Fe  0.2304  0.4193  0.6004  5 O 1.95-1.99, 1 F 2.09
Fe  0.2696  0.5589  0.4063  4 O 1.95-1.97, 2 F 2.11
Fe  0.7676  0.7869  0.7008  4 O 1.92-2.02, 2 F 2.09-2.10
Fe  0.7696  0.4193  0.1004  5 O 1.95-1.99, 1 F 2.09
Fe  0.2509  0.9963  0.9993  4 O 1.90-2.00, 2 F 2.05-2.06
Fe  0.7491  0.9963  0.4993  4 O 1.90-2.00, 2 F 2.05-2.06
Fe  0.2359  0.2331  0.7943  4 O 1.95-1.98, 2 F 2.10-2.11
Fe  0.7641  0.2331  0.2943  4 O 1.95-1.98, 2 F 2.10-2.11

What did the first record say?
Computed, not measured: an optimized crystal structure of Fe5O7F3 at the GGA+U level of DFT.

For the MP2020-corrected energy, the calculation gives -217.15 eV per cell.

Cell: 4.6568 4.6566 15.9142 Å, 73.03 90.00 90.00°
Last column: nearest neighbours and their distance in Å.
Element x y z (fractional)
F  0.9596  0.8973  0.3975  3 Fe 2.06-2.11
F  0.4528  0.0998  0.1009  3 Fe 2.05-2.09
F  0.4590  0.8944  0.3018  3 Fe 2.10-2.11
F  0.5410  0.8944  0.8018  3 Fe 2.10-2.11
F  0.0404  0.8973  0.8975  3 Fe 2.06-2.11
F  0.5472  0.0998  0.6009  3 Fe 2.05-2.09
O  0.4475  0.6908  0.5012  3 Fe 1.97-1.99
O  0.0655  0.7199  0.0962  3 Fe 1.90-1.95
O  0.9515  0.1144  0.1978  3 Fe 1.96-2.00
O  0.4402  0.5083  0.6962  3 Fe 1.95-2.02
O  0.9264  0.5052  0.8033  3 Fe 1.92-1.95
O  0.0515  0.2972  0.5030  3 Fe 1.95-2.00
O  0.9485  0.2972  0.0030  3 Fe 1.95-2.00
O  0.9345  0.7199  0.5962  3 Fe 1.90-1.95
O  0.5739  0.2782  0.4009  3 Fe 1.91-1.98
O  0.5525  0.6908  0.0012  3 Fe 1.97-1.99
O  0.0736  0.5052  0.3033  3 Fe 1.92-1.95
O  0.0485  0.1144  0.6978  3 Fe 1.96-2.00
O  0.4261  0.2782  0.9009  3 Fe 1.91-1.98
O  0.5598  0.5083  0.1962  3 Fe 1.95-2.02
Fe  0.7304  0.5589  0.9063  4 O 1.95-1.97, 2 F 2.11
Fe  0.2324  0.7869  0.2008  4 O 1.92-2.02, 2 F 2.09-2.10
Fe  0.2304  0.4193  0.6004  5 O 1.95-1.99, 1 F 2.09
Fe  0.2696  0.5589  0.4063  4 O 1.95-1.97, 2 F 2.11
Fe  0.7676  0.7869  0.7008  4 O 1.92-2.02, 2 F 2.09-2.10
Fe  0.7696  0.4193  0.1004  5 O 1.95-1.99, 1 F 2.09
Fe  0.2509  0.9963  0.9993  4 O 1.90-2.00, 2 F 2.05-2.06
Fe  0.7491  0.9963  0.4993  4 O 1.90-2.00, 2 F 2.05-2.06
Fe  0.2359  0.2331  0.7943  4 O 1.95-1.98, 2 F 2.10-2.11
Fe  0.7641  0.2331  0.2943  4 O 1.95-1.98, 2 F 2.10-2.11